Density functional theory data (PBE) for crystalline KRuN2 at its relaxed geometry.

abc: 5.842 11.612 16.236
angles: 90.00 90.00 90.00
Space group Pbca (No. 61)
Inequivalent atoms, fractional coordinates:
K 0.180 0.240 0.186 x8
K 0.248 0.504 0.563 x8
Ru 0.210 0.237 0.437 x8
Ru 0.242 0.506 0.812 x8
N 0.061 0.522 0.223 x8
N 0.094 0.724 0.024 x8
N 0.187 0.592 0.399 x8
N 0.229 0.159 0.849 x8

Output
**Final energy**: -425.25 eV/cell
**Total magnetization**: 0.00 μB per formula unit
**Crystal system**: orthorhombic

---

Density functional theory data (PBE) for crystalline Na2YTa3Si4S2O24 at its relaxed geometry.

abc: 8.937 8.952 23.294
angles: 89.17 89.84 60.24
Space group P1 (No. 1)
Inequivalent atoms, fractional coordinates:
Na 0.000 0.000 0.000 x1
Na 0.001 0.011 0.500 x1
Na 0.319 0.331 0.670 x1
Na 0.338 0.340 0.163 x1
Na 0.657 0.675 0.328 x1
Na 0.669 0.675 0.834 x1
Y 0.338 0.317 0.517 x1
Y 0.670 0.658 0.187 x1
Y 0.683 0.664 0.694 x1
Ta 0.010 0.992 0.353 x1
Ta 0.014 0.001 0.651 x1
Ta 0.015 0.980 0.860 x1
Ta 0.328 0.331 0.816 x1
Ta 0.342 0.334 0.018 x1
Ta 0.364 0.317 0.312 x1
Ta 0.671 0.649 0.478 x1
Ta 0.689 0.649 0.977 x1
Ta 0.995 0.982 0.144 x1
Si 0.016 0.706 0.754 x1
Si 0.054 0.322 0.919 x1
Si 0.290 0.706 0.252 x1
Si 0.292 0.001 0.756 x1
Si 0.340 0.033 0.416 x1
Si 0.348 0.611 0.916 x1
Si 0.623 0.042 0.917 x1
Si 0.638 0.322 0.417 x1
Si 0.672 0.368 0.084 x1
Si 0.723 0.990 0.252 x1
Si 0.965 0.366 0.586 x1
Si 0.968 0.650 0.083 x1
S 0.015 0.275 0.252 x1
S 0.041 0.624 0.416 x1
S 0.376 0.958 0.082 x1
S 0.377 0.669 0.584 x1
S 0.682 0.948 0.583 x1
S 0.720 0.272 0.753 x1
O 0.015 0.802 0.407 x1
O 0.025 0.159 0.909 x1
O 0.031 0.809 0.695 x1
O 0.038 0.173 0.201 x1
O 0.121 0.516 0.366 x1
O 0.140 0.359 0.861 x1
O 0.142 0.560 0.469 x1
O 0.155 0.339 0.582 x1
O 0.161 0.489 0.071 x1
O 0.168 0.030 0.696 x1
O 0.168 0.809 0.195 x1
O 0.172 0.292 0.260 x1
O 0.173 0.801 0.910 x1
O 0.174 0.296 0.974 x1
O 0.178 0.992 0.809 x1
O 0.180 0.999 0.403 x1
O 0.185 0.825 0.307 x1
O 0.195 0.520 0.759 x1
O 0.200 0.977 0.090 x1
O 0.204 0.832 0.588 x1
O 0.290 0.520 0.263 x1
O 0.292 0.142 0.473 x1
O 0.306 0.177 0.760 x1
O 0.312 0.524 0.973 x1
O 0.353 0.133 0.073 x1
O 0.353 0.522 0.577 x1
O 0.364 0.138 0.360 x1
O 0.371 0.493 0.860 x1
O 0.457 0.848 0.032 x1
O 0.464 0.694 0.531 x1
O 0.471 0.828 0.751 x1
O 0.476 0.891 0.135 x1
O 0.478 0.648 0.636 x1
O 0.479 0.680 0.253 x1
O 0.502 0.137 0.860 x1
O 0.508 0.358 0.361 x1
O 0.511 0.639 0.927 x1
O 0.513 0.330 0.071 x1
O 0.517 0.843 0.428 x1
O 0.531 0.173 0.259 x1
O 0.532 0.162 0.973 x1
O 0.534 0.124 0.578 x1
O 0.550 0.282 0.755 x1
O 0.566 0.292 0.475 x1
O 0.629 0.476 0.141 x1
O 0.643 0.852 0.928 x1
O 0.653 0.501 0.425 x1
O 0.653 0.874 0.635 x1
O 0.697 0.471 0.028 x1
O 0.698 0.827 0.253 x1
O 0.699 0.843 0.532 x1
O 0.700 0.443 0.748 x1
O 0.806 0.168 0.699 x1
O 0.810 0.024 0.194 x1
O 0.814 0.022 0.907 x1
O 0.825 0.188 0.804 x1
O 0.830 0.164 0.404 x1
O 0.834 0.990 0.307 x1
O 0.836 0.473 0.528 x1
O 0.840 0.689 0.027 x1
O 0.844 0.959 0.589 x1
O 0.849 0.684 0.754 x1
O 0.853 0.177 0.092 x1
O 0.860 0.444 0.251 x1
O 0.864 0.646 0.424 x1
O 0.865 0.497 0.926 x1
O 0.869 0.474 0.641 x1
O 0.897 0.622 0.142 x1
O 0.972 0.173 0.591 x1
O 0.988 0.829 0.090 x1
O 0.994 0.829 0.808 x1
O 0.997 0.187 0.305 x1

Output
**Final energy**: -847.96 eV/cell
**Total magnetization**: 0.00 μB per formula unit
**Crystal system**: triclinic

---

Density functional theory data (PBE) for crystalline Na2ScInSi4O12 at its relaxed geometry.

abc: 10.025 9.207 5.422
angles: 90.00 107.29 90.00
Space group C2 (No. 5)
Inequivalent atoms, fractional coordinates:
Na 0.000 0.000 0.000 x2
Na 0.000 0.394 0.500 x2
Sc 0.000 0.588 0.000 x2
In 0.000 0.801 0.500 x2
Si 0.209 0.111 0.505 x4
Si 0.209 0.284 0.004 x4
O 0.119 0.617 0.394 x4
O 0.120 0.775 0.904 x4
O 0.139 0.443 0.940 x4
O 0.144 0.952 0.433 x4
O 0.150 0.188 0.731 x4
O 0.151 0.208 0.232 x4

Output
**Final energy**: -291.45 eV/cell
**Total magnetization**: 0.00 μB per formula unit
**Crystal system**: monoclinic

---

Density functional theory data (PBE) for crystalline KSmGeSe4 at its relaxed geometry.

abc: 6.899 7.113 9.160
angles: 90.00 107.67 90.00
Space group P2_1 (No. 4)
Inequivalent atoms, fractional coordinates:
K 0.245 0.000 0.438 x2
Sm 0.271 0.996 0.949 x2
Ge 0.277 0.529 0.174 x2
Se 0.066 0.602 0.922 x2
Se 0.074 0.533 0.339 x2
Se 0.467 0.269 0.776 x2
Se 0.486 0.255 0.206 x2

Output
**Final energy**: -64.77 eV/cell
**Total magnetization**: 0.00 μB per formula unit
**Crystal system**: monoclinic

---

Density functional theory data (PBE) for crystalline Cs3YO3 at its relaxed geometry.

abc: 8.394 7.635 12.238
angles: 90.00 95.48 90.00
Space group P2_1/c (No. 14)
Inequivalent atoms, fractional coordinates:
Cs 0.056 0.118 0.156 x4
Cs 0.349 0.161 0.924 x4
Cs 0.381 0.679 0.806 x4
Y 0.158 0.586 0.068 x4
O 0.101 0.056 0.411 x4
O 0.246 0.655 0.544 x4
O 0.299 0.056 0.692 x4

Output
**Final energy**: -149.19 eV/cell
**Distance to the lowest polymorph of the same formula**: 0.000 eV per atom
**Crystal system**: monoclinic

---

Density functional theory data (PBE) for crystalline K3Mn at its relaxed geometry.

abc: 5.933 5.933 11.205
angles: 90.00 90.00 90.00
Space group I4/mmm (No. 139)
Inequivalent atoms, fractional coordinates:
K 0.000 0.000 0.000 x2
K 0.000 0.500 0.250 x4
Mn 0.000 0.000 0.500 x2

Output
**Final energy**: -19.78 eV/cell
**Total magnetization**: 4.45 μB per formula unit
**Crystal system**: tetragonal

---

Density functional theory data (PBE) for crystalline TmCoB4 at its relaxed geometry.

abc: 5.867 11.353 3.351
angles: 90.00 90.00 90.00
Space group Pbam (No. 55)
Inequivalent atoms, fractional coordinates:
Tm 0.127 0.150 0.000 x4
Co 0.135 0.410 0.000 x4
B 0.023 0.692 0.500 x4
B 0.112 0.546 0.500 x4
B 0.138 0.968 0.500 x4
B 0.217 0.815 0.500 x4

Output
**Final energy**: -168.22 eV/cell
**Crystal system**: orthorhombic

---

Density functional theory data (PBE) for crystalline Rb3AsF6 at its relaxed geometry.

abc: 9.463 9.463 9.463
angles: 90.00 90.00 90.00
Space group Fm-3m (No. 225)
Inequivalent atoms, fractional coordinates:
Rb 0.000 0.000 0.000 x4
Rb 0.250 0.250 0.250 x8
As 0.000 0.000 0.500 x4
F 0.000 0.000 0.281 x24

Output
**Final energy**: -175.32 eV/cell
**Crystal system**: cubic

---

Density functional theory data (PBE) for crystalline YBiRu2O7 at its relaxed geometry.

abc: 7.269 7.328 10.328
angles: 90.00 90.00 90.00
Space group Imma (No. 74)
Inequivalent atoms, fractional coordinates:
Y 0.000 0.000 0.000 x4
Bi 0.250 0.250 0.250 x4
Ru 0.000 0.000 0.500 x4
Ru 0.250 0.250 0.750 x4
O 0.000 0.250 0.116 x4
O 0.000 0.250 0.420 x4
O 0.000 0.250 0.832 x4
O 0.205 0.044 0.626 x16

Output
**Final energy**: -325.60 eV/cell
**Total magnetization**: 0.92 μB per formula unit
**Crystal system**: orthorhombic

---

Density functional theory data (PBE) for crystalline Ba2NdNbO6 at its relaxed geometry.

abc: 10.591 6.128 6.179
angles: 90.00 125.23 90.00
Space group C2/m (No. 12)
Inequivalent atoms, fractional coordinates:
Ba 0.248 0.000 0.243 x4
Nd 0.000 0.000 0.500 x2
Nb 0.000 0.500 0.000 x2
O 0.035 0.266 0.805 x8
O 0.230 0.500 0.295 x4

Output
**Final energy**: -156.03 eV/cell
**Total magnetization**: 0.00 μB per formula unit
**Crystal system**: monoclinic

---

Density functional theory data (PBE) for crystalline UFe2Si2 at its relaxed geometry.

abc: 3.959 3.959 9.268
angles: 90.00 90.00 90.00
Space group I4/mmm (No. 139)
Inequivalent atoms, fractional coordinates:
U 0.000 0.000 0.000 x2
Fe 0.000 0.500 0.250 x4
Si 0.000 0.000 0.370 x4

Output
**Final energy**: -83.39 eV/cell
**Crystal system**: tetragonal

---

Density functional theory data (PBE) for crystalline SmAgAs2 at its relaxed geometry.

abc: 21.229 4.017 4.039
angles: 90.00 90.00 90.00
Space group Pnma (No. 62)
Inequivalent atoms, fractional coordinates:
Sm 0.115 0.250 0.238 x4
Ag 0.250 0.250 0.738 x4
As 0.001 0.250 0.720 x4
As 0.159 0.750 0.738 x4

Output
**Final energy**: -79.79 eV/cell
**Total magnetization**: 0.00 μB per formula unit
**Crystal system**: orthorhombic

---

Question: Look up the final energy of the first one.
Answer: -425.25 eV/cell

---

Question: Look up the final energy of the first one.
Answer: -425.25 eV/cell